The following is a DFT calculation (GGA-PBE) of an optimized crystal structure of DyTlZn.

extended XYZ file:
```
6
Lattice="-2.3579 -4.0839 0.0000 -2.3579 4.0839 0.0000 0.0000 0.0000 -7.2785" Properties=species:S:1:pos:R:3 pbc="T T T"
Tl -2.3579 1.3613 -5.4589
Dy 0.0000 0.0000 0.0000
Zn -2.3579 1.3613 -1.8196
Zn -2.3579 -1.3613 -5.4589
Dy 0.0000 0.0000 -3.6392
Tl -2.3579 -1.3613 -1.8196
```

Energy relative to the elements   -0.31 eV per atom
Total DFT energy (no corrections)   -3.049 eV per atom

---

The following is a DFT calculation (GGA-PBE) of an optimized crystal structure of DyTm3.

extended XYZ file:
```
8
Lattice="-3.2539 -1.2465 6.2151 -0.0311 -4.9770 -5.0988 4.7273 -2.1279 2.0482" Properties=species:S:1:pos:R:3 pbc="T T T"
Tm -1.0165 -5.5140 0.4098
Tm 0.6307 -2.3935 -0.1499
Tm 0.8116 -5.9579 3.3144
Dy -0.9979 -3.0220 2.9559
Tm 2.4587 -2.8375 2.7547
Tm 0.8272 -3.4624 5.8709
Dy 2.4401 -5.3294 0.2086
Tm 0.6151 -4.8890 -2.7064
```

Energy relative to the elements   0.01 eV per atom
Total DFT energy (no corrections)   -4.500 eV per atom

---

The following is a DFT calculation (GGA-PBE) of an optimized crystal structure of Dy3V.

extended XYZ file:
```
4
Lattice="0.0000 3.7888 3.7888 3.7888 0.0000 3.7888 3.7888 3.7888 0.0000" Properties=species:S:1:pos:R:3 pbc="T T T"
Dy 3.7888 3.7888 3.7888
Dy 1.8944 1.8944 1.8944
Dy 5.6832 5.6832 5.6832
V 0.0000 0.0000 0.0000
```

Energy relative to the elements   0.32 eV per atom
Total DFT energy (no corrections)   -5.404 eV per atom

---

The following is a DFT calculation (GGA-PBE) of an optimized crystal structure of DyY3.

extended XYZ file:
```
8
Lattice="-7.0233 1.3217 1.2625 2.8867 -6.3857 1.8859 1.3342 2.1350 5.1869" Properties=species:S:1:pos:R:3 pbc="T T T"
Y 0.1246 -1.3807 2.1385
Dy -3.3864 -0.7137 2.7670
Y -4.3656 1.6342 5.2569
Y 1.5633 -4.5632 3.0784
Y -2.9269 -1.5483 6.1968
Dy 0.5841 -2.2153 5.5683
Y -1.9370 -3.9045 3.7076
Y -0.8653 0.9755 4.6277
```

Energy relative to the elements   0.01 eV per atom
Total DFT energy (no corrections)   -5.992 eV per atom

---

The following is a DFT calculation (GGA-PBE) of an optimized crystal structure of DyYZn2.

extended XYZ file:
```
4
Lattice="3.6614 -2.7395 -2.1694 3.3134 -2.5241 2.8753 -0.1624 -5.0546 0.2046" Properties=species:S:1:pos:R:3 pbc="T T T"
Zn 5.1093 -7.7386 0.6829
Zn 1.7031 -2.5795 0.2276
Dy 3.4062 -5.1591 0.4552
Y 0.0000 0.0000 0.0000
```

Energy relative to the elements   -0.36 eV per atom
Total DFT energy (no corrections)   -3.755 eV per atom

---

The following is a DFT calculation (GGA-PBE) of an optimized crystal structure of Dy2Zn17.

extended XYZ file:
```
38
Lattice="4.4883 -7.7739 0.0000 4.4883 7.7739 0.0000 0.0000 0.0000 8.7821" Properties=species:S:1:pos:R:3 pbc="T T T"
Zn 4.4883 0.0000 4.3910
Dy 0.0000 0.0000 2.1955
Zn 2.1761 -1.2564 4.2134
Zn 4.4883 2.5913 0.8901
Zn 7.1637 2.5585 2.1955
Zn 4.4883 0.0000 0.0000
Zn 1.8128 -2.5585 6.5866
Zn 3.1790 -4.9247 6.5866
Dy 4.4883 -2.5913 2.1955
Zn 2.1761 -1.2564 0.1777
Zn 5.7976 -4.9247 6.5866
Dy 0.0000 0.0000 6.5866
Zn 2.1761 1.2564 8.6044
Zn 5.8544 0.2907 2.1955
Zn 3.1221 0.2907 2.1955
Zn 3.1221 -0.2907 6.5866
Zn 2.2441 -3.8870 0.0000
Zn 2.2441 -3.8870 4.3910
Dy 4.4883 2.5913 6.5866
Zn 5.7976 4.9247 2.1955
Zn 2.2441 3.8870 4.3910
Zn 7.1637 -2.5585 6.5866
Zn 6.8004 1.2564 8.6044
Zn 3.1790 4.9247 2.1955
Zn 4.4883 5.2611 4.5687
Zn 1.8128 2.5585 2.1955
Zn 2.1761 1.2564 4.5687
Zn 4.4883 -2.5913 7.8920
Zn 4.4883 -5.2611 0.1777
Zn 4.4883 5.2611 8.6044
Zn 4.4883 -5.2611 4.2134
Zn 2.2441 3.8870 0.0000
Zn 6.8004 1.2564 4.5687
Zn 5.8544 -0.2907 6.5866
Zn 6.8004 -1.2564 0.1777
Zn 4.4883 -2.5913 5.2811
Zn 4.4883 2.5913 3.5009
Zn 6.8004 -1.2564 4.2134
```

Energy above the lowest structure with this stoichiometry   2.4 meV per atom
Energy relative to the elements   -0.24 eV per atom
Total DFT energy (no corrections)   -1.854 eV per atom